Here is a relaxed ThZn2 crystal from Materials Project. Energies are from r²SCAN.

Cell: 4.519 4.519 3.638 Å, 90.00 90.00 120.00°
Sites, in units of the cell vectors:
Th1 0.000 0.000 0.000
Zn1 0.667 0.333 0.500
Zn2 0.333 0.667 0.500

Values from the calculation:
* calculated formation energy: -0.89 eV per formula unit
* total magnetic moment: 0.00 μB per cell
* space group: P6/mmm

Here is a relaxed Ti crystal from Materials Project. Energies are from r²SCAN.

Cell: 2.906 2.906 2.906 Å, 60.00 60.00 60.00°
Sites, in units of the cell vectors:
Ti1 0.000 0.000 0.000

Values from the calculation:
* calculated formation energy: 0.09 eV per formula unit
* total magnetic moment: 0.00 μB per cell
* E above lowest polymorph: 0.087 eV/atom
* space group: Fm-3m

Here is a relaxed Ti crystal from Materials Project. Energies are from r²SCAN.

Cell: 2.936 2.936 4.641 Å, 90.00 90.00 120.00°
Sites, in units of the cell vectors:
Ti1 0.333 0.667 0.250
Ti2 0.667 0.333 0.750

Values from the calculation:
* calculated formation energy: 0.02 eV per formula unit
* total magnetic moment: 0.00 μB per cell
* E above lowest polymorph: 0.015 eV/atom
* space group: P6_3/mmc

Here is a relaxed Ti crystal from Materials Project. Energies are from r²SCAN.

Cell: 2.816 2.816 2.816 Å, 109.47 109.47 109.47°
Sites, in units of the cell vectors:
Ti1 0.000 0.000 0.000

Values from the calculation:
* calculated formation energy: 0.15 eV per formula unit
* total magnetic moment: 0.00 μB per cell
* E above lowest polymorph: 0.151 eV/atom
* space group: Im-3m

Here is a relaxed Ti crystal from Materials Project. Energies are from r²SCAN.

Cell: 4.567 4.567 2.826 Å, 90.00 90.00 120.00°
Sites, in units of the cell vectors:
Ti1 0.000 0.000 0.000
Ti2 0.333 0.667 0.500
Ti3 0.667 0.333 0.500

Values from the calculation:
* calculated formation energy: 0.00 eV per formula unit
* total magnetic moment: 0.00 μB per cell
* E above lowest polymorph: 0.000 eV/atom
* space group: P6/mmm

Here is a relaxed U2Ti crystal from Materials Project. Energies are from r²SCAN.

Cell: 4.760 4.760 2.788 Å, 90.00 90.00 120.00°
Sites, in units of the cell vectors:
U1 0.333 0.667 0.500
U2 0.667 0.333 0.500
Ti1 0.000 0.000 0.000

Values from the calculation:
* calculated formation energy: -0.29 eV per formula unit
* total magnetic moment: 0.00 μB per cell
* space group: P6/mmm

Here is a relaxed TiW crystal from Materials Project. Energies are from r²SCAN.

Cell: 2.761 2.761 4.468 Å, 90.00 90.00 109.49°
Sites, in units of the cell vectors:
Ti1 0.000 0.000 0.000
W1 0.500 0.500 0.500

Values from the calculation:
* calculated formation energy: 0.05 eV per formula unit
* total magnetic moment: 0.00 μB per cell
* space group: Cmmm

Here is a relaxed Ti3Zn crystal from Materials Project. Energies are from r²SCAN.

Cell: 5.028 5.028 5.028 Å, 134.03 134.03 67.04°
Sites, in units of the cell vectors:
Ti1 0.750 0.250 0.500
Ti2 0.250 0.750 0.500
Ti3 0.500 0.500 0.000
Zn1 0.000 0.000 0.000

Values from the calculation:
* calculated formation energy: -0.41 eV per formula unit
* total magnetic moment: 0.26 μB per cell
* space group: I4/mmm

Here is a relaxed TiZn16 crystal from Materials Project. Energies are from r²SCAN.

Cell: 6.795 6.795 11.497 Å, 90.00 90.00 111.75°
Sites, in units of the cell vectors:
Ti1 0.047 0.953 0.750
Ti2 0.953 0.047 0.250
Zn1 0.354 0.982 0.930
Zn2 0.646 0.018 0.430
Zn3 0.982 0.354 0.070
Zn4 0.018 0.646 0.570
Zn5 0.646 0.018 0.070
Zn6 0.354 0.982 0.570
Zn7 0.018 0.646 0.930
Zn8 0.982 0.354 0.430
Zn9 0.655 0.760 0.866
Zn10 0.345 0.240 0.366
Zn11 0.760 0.655 0.134
Zn12 0.240 0.345 0.634
Zn13 0.345 0.240 0.134
Zn14 0.655 0.760 0.634
Zn15 0.240 0.345 0.866
Zn16 0.760 0.655 0.366
Zn17 0.479 0.191 0.750
Zn18 0.521 0.809 0.250
Zn19 0.191 0.479 0.250
Zn20 0.809 0.521 0.750
Zn21 0.176 0.824 0.360
Zn22 0.824 0.176 0.860
Zn23 0.824 0.176 0.640
Zn24 0.176 0.824 0.140
Zn25 0.620 0.380 0.969
Zn26 0.380 0.620 0.469
Zn27 0.380 0.620 0.031
Zn28 0.620 0.380 0.531
Zn29 0.291 0.709 0.750
Zn30 0.709 0.291 0.250
Zn31 0.000 0.000 0.000
Zn32 0.000 0.000 0.500

Values from the calculation:
* calculated formation energy: -1.03 eV per formula unit
* total magnetic moment: 0.00 μB per cell
* space group: Cmcm

Here is a relaxed Ti3Zn crystal from Materials Project. Energies are from r²SCAN.

Cell: 4.004 4.004 4.004 Å, 90.00 90.00 90.00°
Sites, in units of the cell vectors:
Ti1 0.000 0.500 0.500
Ti2 0.500 0.000 0.500
Ti3 0.500 0.500 0.000
Zn1 0.000 0.000 0.000

Values from the calculation:
* calculated formation energy: -0.41 eV per formula unit
* total magnetic moment: 0.00 μB per cell
* space group: Pm-3m

Here is a relaxed TiZn crystal from Materials Project. Energies are from r²SCAN.

Cell: 3.124 3.124 3.124 Å, 90.00 90.00 90.00°
Sites, in units of the cell vectors:
Ti1 0.500 0.500 0.500
Zn1 0.000 0.000 0.000

Values from the calculation:
* calculated formation energy: -0.44 eV per formula unit
* total magnetic moment: 0.00 μB per cell
* space group: Pm-3m

Here is a relaxed TiZn2 crystal from Materials Project. Energies are from r²SCAN.

Cell: 5.026 5.026 8.118 Å, 90.00 90.00 120.00°
Sites, in units of the cell vectors:
Ti1 0.333 0.667 0.065
Ti2 0.667 0.333 0.565
Ti3 0.667 0.333 0.935
Ti4 0.333 0.667 0.435
Zn1 0.000 0.000 0.000
Zn2 0.000 0.000 0.500
Zn3 0.829 0.657 0.250
Zn4 0.171 0.829 0.750
Zn5 0.657 0.829 0.750
Zn6 0.343 0.171 0.250
Zn7 0.829 0.171 0.250
Zn8 0.171 0.343 0.750

Values from the calculation:
* calculated formation energy: -0.84 eV per formula unit
* total magnetic moment: 5.63 μB per cell
* space group: P6_3/mmc

Here is a relaxed Tl crystal from Materials Project. Energies are from r²SCAN.

Cell: 3.388 3.388 3.388 Å, 109.47 109.47 109.47°
Sites, in units of the cell vectors:
Tl1 0.000 0.000 0.000

Values from the calculation:
* calculated formation energy: 0.01 eV per formula unit
* total magnetic moment: 0.00 μB per cell
* E above lowest polymorph: 0.010 eV/atom
* space group: Im-3m

Here is a relaxed Tl crystal from Materials Project. Energies are from r²SCAN.

Cell: 3.497 3.497 5.647 Å, 90.00 90.00 120.00°
Sites, in units of the cell vectors:
Tl1 0.333 0.667 0.250
Tl2 0.667 0.333 0.750

Values from the calculation:
* calculated formation energy: 0.00 eV per formula unit
* total magnetic moment: 0.00 μB per cell
* E above lowest polymorph: 0.000 eV/atom
* space group: P6_3/mmc

Here is a relaxed Tl crystal from Materials Project. Energies are from r²SCAN.

Cell: 3.562 3.562 8.493 Å, 77.90 102.10 120.00°
Sites, in units of the cell vectors:
Tl1 0.000 0.000 0.000
Tl2 0.779 0.221 0.337
Tl3 0.221 0.779 0.663

Values from the calculation:
* calculated formation energy: 0.01 eV per formula unit
* total magnetic moment: 0.00 μB per cell
* E above lowest polymorph: 0.009 eV/atom
* space group: R-3m

Here is a relaxed Tl crystal from Materials Project. Energies are from r²SCAN.

Cell: 3.509 3.509 11.266 Å, 90.00 90.00 120.00°
Sites, in units of the cell vectors:
Tl1 0.000 0.000 0.000
Tl2 0.333 0.667 0.250
Tl3 0.000 0.000 0.500
Tl4 0.667 0.333 0.750

Values from the calculation:
* calculated formation energy: 0.01 eV per formula unit
* total magnetic moment: 0.00 μB per cell
* E above lowest polymorph: 0.009 eV/atom
* space group: P6_3/mmc

Here is a relaxed Tl crystal from Materials Project. Energies are from r²SCAN.

Cell: 10.459 10.459 10.459 Å, 109.47 109.47 109.47°
Sites, in units of the cell vectors:
Tl1 0.363 0.000 0.000
Tl2 0.000 0.000 0.000
Tl3 0.598 0.317 0.000
Tl4 0.000 0.363 0.000
Tl5 0.317 0.598 0.000
Tl6 0.809 0.626 0.000
Tl7 0.626 0.809 0.000
Tl8 0.374 0.374 0.184
Tl9 0.816 0.191 0.191
Tl10 0.191 0.816 0.191
Tl11 0.683 0.683 0.281
Tl12 0.598 0.000 0.317
Tl13 0.000 0.598 0.317
Tl14 0.000 0.000 0.363
Tl15 0.374 0.184 0.374
Tl16 0.184 0.374 0.374
Tl17 0.719 0.402 0.402
Tl18 0.402 0.719 0.402
Tl19 0.317 0.000 0.598
Tl20 0.000 0.317 0.598
Tl21 0.809 0.000 0.626
Tl22 0.000 0.809 0.626
Tl23 0.637 0.637 0.637
Tl24 0.683 0.281 0.683
Tl25 0.281 0.683 0.683
Tl26 0.402 0.402 0.719
Tl27 0.626 0.000 0.809
Tl28 0.000 0.626 0.809
Tl29 0.191 0.191 0.816

Values from the calculation:
* calculated formation energy: 0.01 eV per formula unit
* total magnetic moment: 0.00 μB per cell
* E above lowest polymorph: 0.011 eV/atom
* space group: I-43m

Here is a relaxed Tl crystal from Materials Project. Energies are from r²SCAN.

Cell: 3.488 3.488 3.488 Å, 60.00 60.00 60.00°
Sites, in units of the cell vectors:
Tl1 0.000 0.000 0.000

Values from the calculation:
* calculated formation energy: 0.03 eV per formula unit
* total magnetic moment: 0.00 μB per cell
* E above lowest polymorph: 0.029 eV/atom
* space group: Fm-3m

Here is a relaxed Tm3Tl crystal from Materials Project. Energies are from r²SCAN.

Cell: 6.731 6.731 5.555 Å, 90.00 90.00 120.00°
Sites, in units of the cell vectors:
Tm1 0.169 0.339 0.250
Tm2 0.661 0.831 0.250
Tm3 0.169 0.831 0.250
Tm4 0.831 0.661 0.750
Tm5 0.339 0.169 0.750
Tm6 0.831 0.169 0.750
Tl1 0.333 0.667 0.750
Tl2 0.667 0.333 0.250

Values from the calculation:
* calculated formation energy: -0.92 eV per formula unit
* total magnetic moment: 3.36 μB per cell
* space group: P6_3/mmc

Here is a relaxed Tm5Tl3 crystal from Materials Project. Energies are from r²SCAN.

Cell: 6.522 8.828 8.828 Å, 120.00 90.00 90.00°
Sites, in units of the cell vectors:
Tm1 0.500 0.333 0.667
Tm2 0.500 0.667 0.333
Tm3 0.000 0.667 0.333
Tm4 0.000 0.333 0.667
Tm5 0.750 0.236 0.000
Tm6 0.750 0.764 0.764
Tm7 0.750 0.000 0.236
Tm8 0.250 0.764 0.000
Tm9 0.250 0.236 0.236
Tm10 0.250 0.000 0.764
Tl1 0.750 0.599 0.000
Tl2 0.750 0.401 0.401
Tl3 0.750 0.000 0.599
Tl4 0.250 0.401 0.000
Tl5 0.250 0.599 0.599
Tl6 0.250 0.000 0.401

Values from the calculation:
* calculated formation energy: -3.38 eV per formula unit
* total magnetic moment: 0.51 μB per cell
* space group: P6_3/mcm

Here is a relaxed YTmTl2 crystal from Materials Project. Energies are from r²SCAN.

Cell: 5.313 5.313 5.313 Å, 60.00 60.00 60.00°
Sites, in units of the cell vectors:
Y1 0.000 0.000 0.000
Tm1 0.500 0.500 0.500
Tl1 0.250 0.250 0.250
Tl2 0.750 0.750 0.750

Values from the calculation:
* calculated formation energy: -1.69 eV per formula unit
* total magnetic moment: 0.00 μB per cell
* space group: Fm-3m

Here is a relaxed Tm2TlZn crystal from Materials Project. Energies are from r²SCAN.

Cell: 5.115 5.115 5.115 Å, 60.00 60.00 60.00°
Sites, in units of the cell vectors:
Tm1 0.250 0.250 0.250
Tm2 0.750 0.750 0.750
Tl1 0.500 0.500 0.500
Zn1 0.000 0.000 0.000

Values from the calculation:
* calculated formation energy: -1.53 eV per formula unit
* total magnetic moment: 0.00 μB per cell
* space group: Fm-3m

Here is a relaxed YTl crystal from Materials Project. Energies are from r²SCAN.

Cell: 3.778 3.778 3.778 Å, 90.00 90.00 90.00°
Sites, in units of the cell vectors:
Y1 0.500 0.500 0.500
Tl1 0.000 0.000 0.000

Values from the calculation:
* calculated formation energy: -0.93 eV per formula unit
* total magnetic moment: 0.00 μB per cell
* space group: Pm-3m

Here is a relaxed Y3Tl5 crystal from Materials Project. Energies are from r²SCAN.

Cell: 6.442 6.442 10.507 Å, 90.00 90.00 101.72°
Sites, in units of the cell vectors:
Y1 0.204 0.796 0.000
Y2 0.796 0.204 0.000
Y3 0.796 0.204 0.500
Y4 0.204 0.796 0.500
Y5 0.617 0.617 0.250
Y6 0.383 0.383 0.750
Tl1 0.514 0.073 0.250
Tl2 0.486 0.927 0.750
Tl3 0.073 0.514 0.250
Tl4 0.927 0.486 0.750
Tl5 0.006 0.006 0.250
Tl6 0.994 0.994 0.750
Tl7 0.305 0.305 0.039
Tl8 0.695 0.695 0.961
Tl9 0.695 0.695 0.539
Tl10 0.305 0.305 0.461

Values from the calculation:
* calculated formation energy: -3.28 eV per formula unit
* total magnetic moment: 0.00 μB per cell
* space group: Cmcm

Here is a relaxed Tm crystal from Materials Project. Energies are from r²SCAN.

Cell: 3.513 3.513 11.247 Å, 90.00 90.00 120.00°
Sites, in units of the cell vectors:
Tm1 0.000 0.000 0.000
Tm2 0.333 0.667 0.250
Tm3 0.000 0.000 0.500
Tm4 0.667 0.333 0.750

Values from the calculation:
* calculated formation energy: 0.03 eV per formula unit
* total magnetic moment: 0.00 μB per cell
* E above lowest polymorph: 0.030 eV/atom
* space group: P6_3/mmc

Here is a relaxed Tm crystal from Materials Project. Energies are from r²SCAN.

Cell: 3.413 3.413 3.413 Å, 109.47 109.47 109.47°
Sites, in units of the cell vectors:
Tm1 0.000 0.000 0.000

Values from the calculation:
* calculated formation energy: 0.12 eV per formula unit
* total magnetic moment: 0.39 μB per cell
* E above lowest polymorph: 0.117 eV/atom
* space group: Im-3m

Here is a relaxed Tm crystal from Materials Project. Energies are from r²SCAN.

Cell: 3.526 3.526 8.784 Å, 78.42 78.42 60.00°
Sites, in units of the cell vectors:
Tm1 0.000 0.000 0.000
Tm2 0.778 0.778 0.665
Tm3 0.222 0.222 0.335

Values from the calculation:
* calculated formation energy: 0.01 eV per formula unit
* total magnetic moment: 1.62 μB per cell
* E above lowest polymorph: 0.007 eV/atom
* space group: R-3m